Entry 1:
The following is a PBE-GGA calculation of a relaxed structure of Cs3TbF6, from the Materials Project database.

## Properties
DFT formation energy ... -3.540 eV per atom
Calculated volume ... 257.4 Å³/cell
Mass density ... 4332 kg/m3

a = 7.140 Å, b = 7.140 Å, c = 7.140 Å
α = 60.00°, β = 60.00°, γ = 60.00°
Fractional positions:
1 Cs 0.000 0.000 0.000
2 Cs 0.250 0.250 0.250
3 Cs 0.750 0.750 0.750
4 Tb 0.500 0.500 0.500
5 F 0.282 0.282 0.718
6 F 0.282 0.718 0.282
7 F 0.282 0.718 0.718
8 F 0.718 0.282 0.282
9 F 0.718 0.282 0.718
10 F 0.718 0.718 0.282



Entry 2:
The following is a PBE-GGA calculation of a relaxed structure of TbAl8Cr4, from the Materials Project database.

## Properties
DFT formation energy ... -0.211 eV per atom
Calculated volume ... 201.2 Å³/cell
Mass density ... 4811 kg/m3

a = 6.794 Å, b = 6.794 Å, c = 6.794 Å
α = 97.97°, β = 97.97°, γ = 136.27°
Fractional positions:
1 Tb 0.000 0.000 0.000
2 Al 0.000 0.336 0.336
3 Al 0.000 0.664 0.664
4 Al 0.277 0.500 0.777
5 Al 0.336 0.000 0.336
6 Al 0.500 0.277 0.777
7 Al 0.500 0.723 0.223
8 Al 0.664 0.000 0.664
9 Al 0.723 0.500 0.223
10 Cr 0.000 0.000 0.500
11 Cr 0.000 0.500 0.000
12 Cr 0.500 0.000 0.000
13 Cr 0.500 0.500 0.500



Entry 3:
The following is a PBE-GGA calculation of a relaxed structure of Na2Ti4Si5Sn4S7O48, from the Materials Project database.

## Properties
DFT formation energy ... -2.439 eV per atom
Calculated volume ... 3023.3 Å³/cell
Mass density ... 3040 kg/m3

a = 8.778 Å, b = 15.158 Å, c = 22.721 Å
α = 90.20°, β = 90.05°, γ = 90.08°
Fractional positions:
1 Na 0.000 0.000 0.000
2 Na 0.004 0.345 0.335
3 Na 0.014 0.004 0.505
4 Na 0.499 0.507 0.006
5 Na 0.506 0.846 0.843
6 Na 0.512 0.507 0.496
7 Ti 0.012 0.343 0.189
8 Ti 0.017 0.000 0.646
9 Ti 0.020 0.336 0.478
10 Ti 0.022 0.687 0.029
11 Ti 0.487 0.180 0.526
12 Ti 0.499 0.501 0.145
13 Ti 0.501 0.843 0.692
14 Ti 0.510 0.838 0.983
15 Ti 0.529 0.500 0.858
16 Ti 0.532 0.497 0.358
17 Ti 0.985 0.995 0.861
18 Ti 0.988 0.999 0.355
19 Si 0.141 0.196 0.587
20 Si 0.159 0.816 0.919
21 Si 0.222 0.836 0.586
22 Si 0.295 0.336 0.086
23 Si 0.367 0.317 0.418
24 Si 0.371 0.697 0.088
25 Si 0.647 0.026 0.922
26 Si 0.658 0.319 0.920
27 Si 0.658 0.366 0.249
28 Si 0.708 0.004 0.252
29 Si 0.797 0.841 0.084
30 Si 0.804 0.506 0.753
31 Si 0.858 0.820 0.419
32 Si 0.860 0.865 0.750
33 Si 0.868 0.528 0.423
34 Sn 0.005 0.681 0.523
35 Sn 0.006 0.680 0.813
36 Sn 0.007 0.337 0.692
37 Sn 0.010 0.344 0.981
38 Sn 0.506 0.843 0.481
39 Sn 0.509 0.180 0.311
40 Sn 0.510 0.179 0.023
41 Sn 0.512 0.506 0.653
42 Sn 0.518 0.836 0.189
43 Sn 0.521 0.170 0.819
44 Sn 0.995 0.669 0.318
45 Sn 0.996 0.001 0.150
46 S 0.147 0.150 0.252
47 S 0.154 0.859 0.255
48 S 0.156 0.485 0.586
49 S 0.156 0.531 0.918
50 S 0.214 0.172 0.917
51 S 0.222 0.509 0.253
52 S 0.294 0.010 0.753
53 S 0.301 0.672 0.418
54 S 0.361 0.032 0.419
55 S 0.361 0.987 0.086
56 S 0.364 0.360 0.755
57 S 0.365 0.652 0.753
58 S 0.648 0.647 0.253
59 S 0.648 0.694 0.588
60 S 0.653 0.987 0.587
61 S 0.715 0.339 0.584
62 S 0.716 0.672 0.920
63 S 0.799 0.172 0.421
64 S 0.862 0.486 0.087
65 S 0.865 0.147 0.752
66 S 0.867 0.196 0.088
67 O 0.068 0.247 0.530
68 O 0.069 0.099 0.595
69 O 0.072 0.772 0.976
70 O 0.074 0.239 0.246
71 O 0.080 0.108 0.304
72 O 0.080 0.915 0.910
73 O 0.085 0.771 0.261
74 O 0.085 0.897 0.200
75 O 0.086 0.568 0.864
76 O 0.089 0.441 0.923
77 O 0.092 0.448 0.641
78 O 0.093 0.574 0.579
79 O 0.114 0.924 0.596
80 O 0.116 0.094 0.908
81 O 0.119 0.252 0.925
82 O 0.119 0.429 0.246
83 O 0.120 0.917 0.306
84 O 0.122 0.746 0.582
85 O 0.124 0.590 0.258
86 O 0.125 0.097 0.197
87 O 0.125 0.583 0.971
88 O 0.131 0.430 0.534
89 O 0.135 0.259 0.645
90 O 0.140 0.756 0.860
91 O 0.178 0.330 0.143
92 O 0.182 0.328 0.429
93 O 0.190 0.681 0.074
94 O 0.190 0.998 0.092
95 O 0.194 0.025 0.414
96 O 0.195 0.360 0.027
97 O 0.197 0.355 0.750
98 O 0.200 0.662 0.758
99 O 0.203 0.021 0.698
100 O 0.204 0.994 0.805
101 O 0.205 0.689 0.365
102 O 0.210 0.653 0.471
103 O 0.306 0.154 0.971
104 O 0.309 0.190 0.864
105 O 0.312 0.521 0.199
106 O 0.313 0.160 0.257
107 O 0.313 0.494 0.306
108 O 0.320 0.855 0.250
109 O 0.320 0.861 0.527
110 O 0.324 0.523 0.911
111 O 0.327 0.184 0.572
112 O 0.330 0.493 0.592
113 O 0.338 0.830 0.643
114 O 0.340 0.829 0.929
115 O 0.376 0.758 0.147
116 O 0.379 0.254 0.362
117 O 0.383 0.931 0.034
118 O 0.384 0.600 0.697
119 O 0.392 0.090 0.757
120 O 0.394 0.247 0.082
121 O 0.395 0.086 0.473
122 O 0.395 0.752 0.425
123 O 0.397 0.418 0.805
124 O 0.397 0.930 0.745
125 O 0.400 0.594 0.409
126 O 0.402 0.424 0.095
127 O 0.424 0.950 0.141
128 O 0.429 0.943 0.425
129 O 0.430 0.075 0.079
130 O 0.431 0.070 0.366
131 O 0.431 0.271 0.761
132 O 0.431 0.396 0.699
133 O 0.435 0.609 0.804
134 O 0.438 0.416 0.411
135 O 0.440 0.740 0.746
136 O 0.444 0.270 0.476
137 O 0.446 0.744 0.030
138 O 0.450 0.600 0.097
139 O 0.568 0.060 0.860
140 O 0.570 0.285 0.978
141 O 0.572 0.604 0.591
142 O 0.577 0.418 0.911
143 O 0.578 0.735 0.251
144 O 0.579 0.272 0.257
145 O 0.581 0.073 0.577
146 O 0.581 0.419 0.195
147 O 0.581 0.928 0.928
148 O 0.583 0.731 0.533
149 O 0.583 0.943 0.638
150 O 0.588 0.605 0.307
151 O 0.607 0.917 0.247
152 O 0.608 0.090 0.265
153 O 0.610 0.419 0.588
154 O 0.612 0.593 0.912
155 O 0.615 0.747 0.640
156 O 0.617 0.596 0.200
157 O 0.618 0.751 0.925
158 O 0.619 0.260 0.576
159 O 0.629 0.090 0.979
160 O 0.629 0.426 0.310
161 O 0.632 0.265 0.859
162 O 0.639 0.931 0.533
163 O 0.674 0.856 0.738
164 O 0.676 0.833 0.428
165 O 0.682 0.521 0.412
166 O 0.684 0.492 0.808
167 O 0.685 0.858 0.028
168 O 0.694 0.156 0.755
169 O 0.696 0.496 0.094
170 O 0.701 0.186 0.085
171 O 0.703 0.527 0.693
172 O 0.705 0.157 0.474
173 O 0.709 0.188 0.367
174 O 0.710 0.823 0.145
175 O 0.800 0.327 0.639
176 O 0.805 0.686 0.865
177 O 0.810 0.654 0.972
178 O 0.812 0.356 0.533
179 O 0.815 0.683 0.584
180 O 0.816 0.029 0.196
181 O 0.820 0.655 0.256
182 O 0.820 0.998 0.594
183 O 0.830 0.990 0.309
184 O 0.835 0.022 0.913
185 O 0.839 0.333 0.927
186 O 0.843 0.357 0.240
187 O 0.875 0.428 0.033
188 O 0.885 0.763 0.360
189 O 0.886 0.926 0.809
190 O 0.887 0.589 0.481
191 O 0.896 0.253 0.427
192 O 0.897 0.096 0.699
193 O 0.899 0.251 0.140
194 O 0.901 0.415 0.745
195 O 0.901 0.753 0.074
196 O 0.902 0.095 0.414
197 O 0.910 0.589 0.765
198 O 0.911 0.928 0.085
199 O 0.929 0.108 0.806
200 O 0.930 0.440 0.139
201 O 0.931 0.235 0.033
202 O 0.932 0.428 0.433
203 O 0.933 0.238 0.748
204 O 0.935 0.770 0.756
205 O 0.936 0.918 0.694
206 O 0.937 0.570 0.079
207 O 0.940 0.919 0.410
208 O 0.944 0.787 0.479
209 O 0.945 0.109 0.092
210 O 0.950 0.560 0.362